VASP calculation (PBE) on a relaxed InH24C6Br6N3 crystal.

Unit cell a=17.348 b=17.348 c=17.348 alpha=117.40 beta=117.40 gamma=117.40
Fractional coordinates of all 160 atoms:
H  0.800  0.930  0.552
H  0.122  0.638  0.249
H  0.886  0.108  0.651
H  0.477  0.944  0.116
H  0.761  0.351  0.982
H  0.598  0.310  0.430
H  0.133  0.955  0.801
H  0.310  0.430  0.598
H  0.555  0.191  0.923
H  0.482  0.668  0.543
H  0.095  0.563  0.326
H  0.923  0.555  0.191
H  0.905  0.437  0.674
H  0.430  0.598  0.310
H  0.362  0.751  0.878
H  0.351  0.982  0.761
H  0.114  0.892  0.349
H  0.757  0.717  0.936
H  0.448  0.200  0.070
H  0.751  0.878  0.362
H  0.019  0.199  0.412
H  0.878  0.362  0.751
H  0.668  0.543  0.482
H  0.116  0.477  0.944
H  0.327  0.040  0.123
H  0.239  0.649  0.018
H  0.981  0.801  0.588
H  0.877  0.673  0.960
H  0.588  0.981  0.801
H  0.982  0.761  0.351
H  0.946  0.031  0.554
H  0.385  0.674  0.451
H  0.446  0.054  0.969
H  0.402  0.690  0.570
H  0.123  0.327  0.040
H  0.191  0.923  0.555
H  0.944  0.116  0.477
H  0.554  0.946  0.031
H  0.543  0.482  0.668
H  0.326  0.095  0.563
H  0.649  0.018  0.239
H  0.625  0.944  0.680
H  0.056  0.884  0.523
H  0.375  0.056  0.320
H  0.243  0.283  0.064
H  0.018  0.239  0.649
H  0.651  0.886  0.108
H  0.451  0.385  0.674
H  0.680  0.625  0.944
H  0.552  0.800  0.930
H  0.200  0.070  0.448
H  0.412  0.019  0.199
H  0.570  0.402  0.690
H  0.884  0.523  0.056
H  0.518  0.332  0.457
H  0.349  0.114  0.892
H  0.199  0.867  0.045
H  0.054  0.969  0.446
H  0.108  0.651  0.886
H  0.326  0.549  0.615
H  0.040  0.123  0.327
H  0.031  0.554  0.946
H  0.070  0.448  0.200
H  0.638  0.249  0.122
H  0.690  0.570  0.402
H  0.969  0.446  0.054
H  0.674  0.451  0.385
H  0.523  0.056  0.884
H  0.936  0.757  0.717
H  0.615  0.326  0.549
H  0.045  0.199  0.867
H  0.930  0.552  0.800
H  0.056  0.320  0.375
H  0.944  0.680  0.625
H  0.283  0.064  0.243
H  0.673  0.960  0.877
H  0.457  0.518  0.332
H  0.674  0.905  0.437
H  0.717  0.936  0.757
H  0.801  0.133  0.955
H  0.867  0.045  0.199
H  0.320  0.375  0.056
H  0.437  0.674  0.905
H  0.445  0.809  0.077
H  0.064  0.243  0.283
H  0.249  0.122  0.638
H  0.332  0.457  0.518
H  0.892  0.349  0.114
H  0.199  0.412  0.019
H  0.549  0.615  0.326
H  0.801  0.588  0.981
H  0.563  0.326  0.095
H  0.960  0.877  0.673
H  0.955  0.801  0.133
H  0.077  0.445  0.809
H  0.809  0.077  0.445
C  0.799  0.984  0.535
C  0.016  0.465  0.201
C  0.535  0.799  0.984
C  0.001  0.845  0.675
C  0.443  0.539  0.279
C  0.484  0.091  0.884
C  0.279  0.443  0.539
C  0.461  0.721  0.557
C  0.091  0.884  0.484
C  0.155  0.325  0.999
C  0.909  0.116  0.516
C  0.721  0.557  0.461
C  0.116  0.516  0.909
C  0.984  0.535  0.799
C  0.675  0.001  0.845
C  0.999  0.155  0.325
C  0.465  0.201  0.016
C  0.884  0.484  0.091
C  0.516  0.909  0.116
C  0.325  0.999  0.155
C  0.201  0.016  0.465
C  0.539  0.279  0.443
C  0.845  0.675  0.001
C  0.557  0.461  0.721
Br  0.058  0.423  0.599
Br  0.111  0.264  0.174
Br  0.363  0.723  0.315
Br  0.194  0.806  0.217
Br  0.423  0.599  0.058
Br  0.826  0.889  0.736
Br  0.264  0.174  0.111
Br  0.174  0.111  0.264
Br  0.889  0.736  0.826
Br  0.736  0.826  0.889
Br  0.723  0.315  0.363
Br  0.194  0.783  0.806
Br  0.401  0.942  0.577
Br  0.806  0.217  0.194
Br  0.942  0.577  0.401
Br  0.685  0.637  0.277
Br  0.783  0.806  0.194
Br  0.577  0.401  0.942
Br  0.599  0.058  0.423
Br  0.217  0.194  0.806
Br  0.277  0.685  0.637
Br  0.637  0.277  0.685
Br  0.315  0.363  0.723
Br  0.806  0.194  0.783
In  0.500  0.500  0.000
In  0.000  0.000  0.000
In  0.000  0.500  0.500
In  0.500  0.000  0.500
N  0.513  0.149  0.004
N  0.711  0.626  0.906
N  0.149  0.004  0.513
N  0.996  0.487  0.851
N  0.487  0.851  0.996
N  0.289  0.374  0.094
N  0.094  0.289  0.374
N  0.004  0.513  0.149
N  0.374  0.094  0.289
N  0.851  0.996  0.487
N  0.906  0.711  0.626
N  0.626  0.906  0.711

Computed properties:
magnetization: 0.01 μB/cell
calculated formation energy: -0.382 eV per atom